# 1
First-principles (r²SCAN) data for crystalline Lu6WO12 at its relaxed geometry, as listed in Materials Project.

Cell: 6.2742 6.2742 6.2742 Å, 98.81 98.81 98.81°
Last column: nearest neighbours and their distance in Å.
Element x y z (fractional)
1 Lu 0.3200 0.1439 0.6107  6 O 2.12-2.32
2 Lu 0.8561 0.3893 0.6800  6 O 2.12-2.32
3 Lu 0.6107 0.3200 0.1439  6 O 2.12-2.32
4 Lu 0.3893 0.6800 0.8561  6 O 2.12-2.32
5 Lu 0.1439 0.6107 0.3200  6 O 2.12-2.32
6 Lu 0.6800 0.8561 0.3893  6 O 2.12-2.32
7 W 0.0000 0.0000 0.0000  6 O 1.94
8 O 0.9174 0.0363 0.6993  1 W 1.94
9 O 0.3007 0.0826 0.9637  1 W 1.94
10 O 0.5890 0.1774 0.4273  4 Lu 2.12-2.22
11 O 0.9637 0.3007 0.0826  1 W 1.94
12 O 0.5727 0.4110 0.8226  4 Lu 2.12-2.22
13 O 0.1774 0.4273 0.5890  4 Lu 2.12-2.22
14 O 0.8226 0.5727 0.4110  4 Lu 2.12-2.22
15 O 0.4273 0.5890 0.1774  4 Lu 2.12-2.22
16 O 0.0363 0.6993 0.9174  1 W 1.94
17 O 0.4110 0.8226 0.5727  4 Lu 2.12-2.22
18 O 0.6993 0.9174 0.0363  1 W 1.94
19 O 0.0826 0.9637 0.3007  1 W 1.94

## Properties
SG: R-3 (148)
uncorrected energy: -22.257 eV/atom
energy relative to the elements: -3.76 eV per atom

# 2
First-principles (r²SCAN) data for crystalline Lu2ZrZnO6 at its relaxed geometry, as listed in Materials Project.

Cell: 5.5903 5.5903 5.5903 Å, 60.00 60.00 60.00°
Last column: nearest neighbours and their distance in Å.
Element x y z (fractional)
1 Lu 0.2500 0.2500 0.2500  12 O 2.80
2 Lu 0.7500 0.7500 0.7500  12 O 2.80
3 Zr 0.5000 0.5000 0.5000  6 O 2.00
4 Zn 0.0000 0.0000 0.0000  6 O 1.95
5 O 0.7536 0.2464 0.2464  1 Zn 1.95, 1 Zr 2.00
6 O 0.2464 0.7536 0.7536  1 Zn 1.95, 1 Zr 2.00
7 O 0.2464 0.7536 0.2464  1 Zn 1.95, 1 Zr 2.00
8 O 0.7536 0.2464 0.7536  1 Zn 1.95, 1 Zr 2.00
9 O 0.2464 0.2464 0.7536  1 Zn 1.95, 1 Zr 2.00
10 O 0.7536 0.7536 0.2464  1 Zn 1.95, 1 Zr 2.00

## Properties
SG: Fm-3m (225)
uncorrected energy: -17.062 eV/atom
energy relative to the elements: -2.70 eV per atom

Number 1: theoretical density 9.98 g cm⁻³. Number 2: theoretical density 8.10 g cm⁻³.